Computed, not measured: an optimized crystal structure of Cs4Ru2Cl10O at the PBE level of DFT.

Geometry as POSCAR:
```
Cs4Ru2Cl10O
1.0
11.997 0.000 0.000
0.000 14.190 0.000
0.000 0.000 12.695
Cs Ru Cl O
16 8 40 4
direct
0.022 0.139 0.215
0.022 0.361 0.715
0.210 0.636 0.606
0.210 0.864 0.106
0.290 0.136 0.606
0.290 0.364 0.106
0.478 0.639 0.215
0.478 0.861 0.715
0.522 0.139 0.285
0.522 0.361 0.785
0.710 0.636 0.894
0.710 0.864 0.394
0.790 0.136 0.894
0.790 0.364 0.394
0.978 0.639 0.285
0.978 0.861 0.785
0.085 0.594 0.947
0.085 0.906 0.447
0.415 0.094 0.947
0.415 0.406 0.447
0.585 0.594 0.553
0.585 0.906 0.053
0.915 0.094 0.553
0.915 0.406 0.053
0.019 0.102 0.714
0.019 0.398 0.214
0.031 0.216 0.482
0.031 0.284 0.982
0.196 0.717 0.876
0.196 0.783 0.376
0.200 0.604 0.101
0.200 0.896 0.601
0.217 0.011 0.367
0.217 0.489 0.867
0.283 0.511 0.367
0.283 0.989 0.867
0.300 0.104 0.101
0.300 0.396 0.601
0.304 0.217 0.876
0.304 0.283 0.376
0.469 0.716 0.482
0.469 0.784 0.982
0.481 0.602 0.714
0.481 0.898 0.214
0.519 0.102 0.786
0.519 0.398 0.286
0.531 0.216 0.018
0.531 0.284 0.518
0.696 0.717 0.624
0.696 0.783 0.124
0.700 0.604 0.399
0.700 0.896 0.899
0.717 0.011 0.133
0.717 0.489 0.633
0.783 0.511 0.133
0.783 0.989 0.633
0.800 0.104 0.399
0.800 0.396 0.899
0.804 0.217 0.624
0.804 0.283 0.124
0.969 0.716 0.018
0.969 0.784 0.518
0.981 0.602 0.786
0.981 0.898 0.286
0.000 0.000 0.500
0.000 0.500 0.000
0.500 0.000 0.000
0.500 0.500 0.500
```

## Properties
Energy relative to the elements, eV/atom: -1.35
Size of the total moment, μB per atom: 0.0000

---

Computed, not measured: an optimized crystal structure of CsYSeCl2O3 at the PBE level of DFT.

Geometry as POSCAR:
```
CsYSeCl2O3
1.0
6.717 0.000 0.000
0.000 7.083 0.000
-4.150 0.000 17.698
Cs Y Se Cl O
4 4 4 8 12
direct
0.244 0.207 0.055
0.244 0.293 0.555
0.756 0.707 0.445
0.756 0.793 0.945
0.140 0.674 0.258
0.140 0.826 0.758
0.860 0.174 0.242
0.860 0.326 0.742
0.362 0.179 0.293
0.362 0.321 0.793
0.638 0.679 0.207
0.638 0.821 0.707
0.126 0.684 0.110
0.126 0.816 0.610
0.232 0.655 0.408
0.232 0.845 0.908
0.768 0.155 0.092
0.768 0.345 0.592
0.874 0.184 0.390
0.874 0.316 0.890
0.177 0.151 0.756
0.177 0.349 0.256
0.183 0.501 0.765
0.183 0.999 0.265
0.493 0.670 0.273
0.493 0.830 0.773
0.507 0.170 0.227
0.507 0.330 0.727
0.817 0.001 0.735
0.817 0.499 0.235
0.823 0.651 0.744
0.823 0.849 0.244
```

## Properties
Energy relative to the elements, eV/atom: -2.28
Size of the total moment, μB per atom: 0.0001